# 1
An optimized crystal structure of SrUI6, computed with r2SCAN. Values from VASP.

## Properties
- Spin magnetization: 0.00 μB per cell
- Formation enthalpy at 0 K: -1078 kJ/mol of formula units
- Total DFT energy (no corrections): -507.23 eV per cell

Structure (Quantum ESPRESSO input):
```
&SYSTEM
  ibrav = 0, nat = 16, ntyp = 3
/
ATOMIC_SPECIES
Sr 87.62 Sr.upf
U 238.03 U.upf
I 126.90 I.upf
ATOMIC_POSITIONS crystal
Sr 0.085 0.416 0.250
Sr 0.915 0.584 0.750
U 0.419 0.081 0.250
U 0.581 0.919 0.750
I 0.066 0.728 0.127
I 0.163 0.132 0.374
I 0.228 0.565 0.626
I 0.318 0.965 0.871
I 0.368 0.337 0.126
I 0.465 0.819 0.371
I 0.535 0.181 0.629
I 0.632 0.663 0.874
I 0.682 0.035 0.129
I 0.772 0.435 0.374
I 0.837 0.868 0.626
I 0.934 0.272 0.873
CELL_PARAMETERS angstrom
7.975 0.000 0.000
-3.900 6.958 0.000
-1.590 -2.729 14.349
```

# 2
An optimized crystal structure of TaTe4I, computed with r2SCAN. Values from VASP.

## Properties
- Spin magnetization: 0.00 μB per cell
- Formation enthalpy at 0 K: -187 kJ/mol of formula units
- Total DFT energy (no corrections): -353.51 eV per cell

Structure (Quantum ESPRESSO input):
```
&SYSTEM
  ibrav = 0, nat = 12, ntyp = 3
/
ATOMIC_SPECIES
Ta 180.95 Ta.upf
Te 127.60 Te.upf
I 126.90 I.upf
ATOMIC_POSITIONS crystal
Ta 0.250 0.001 0.499
Ta 0.750 0.999 0.501
Te 0.024 0.871 0.691
Te 0.122 0.325 0.675
Te 0.387 0.857 0.202
Te 0.459 0.751 0.568
Te 0.541 0.249 0.432
Te 0.613 0.143 0.798
Te 0.878 0.675 0.325
Te 0.976 0.129 0.309
I 0.246 0.398 0.068
I 0.754 0.602 0.932
CELL_PARAMETERS angstrom
6.772 0.000 0.000
-1.553 7.929 0.000
-1.855 -4.031 7.737
```

# 3
An optimized crystal structure of TbI3, computed with r2SCAN. Values from VASP.

## Properties
- Spin magnetization: 0.00 μB per cell
- Formation enthalpy at 0 K: -604 kJ/mol of formula units
- Total DFT energy (no corrections): -222.33 eV per cell

Structure (Quantum ESPRESSO input):
```
&SYSTEM
  ibrav = 0, nat = 8, ntyp = 2
/
ATOMIC_SPECIES
Tb 158.93 Tb.upf
I 126.90 I.upf
ATOMIC_POSITIONS crystal
Tb 0.333 0.667 0.250
Tb 0.667 0.333 0.750
I 0.214 0.429 0.750
I 0.214 0.786 0.750
I 0.429 0.214 0.250
I 0.571 0.786 0.750
I 0.786 0.214 0.250
I 0.786 0.571 0.250
CELL_PARAMETERS angstrom
11.230 0.000 0.000
-5.615 9.726 0.000
0.000 0.000 4.009
```

# 4
An optimized crystal structure of TeI, computed with r2SCAN. Values from VASP.

## Properties
- Spin magnetization: 0.00 μB per cell
- Formation enthalpy at 0 K: -19 kJ/mol of formula units
- Energy relative to the lowest polymorph listed for this composition: 0.000 eV/atom
- Total DFT energy (no corrections): -200.68 eV per cell

Structure (Quantum ESPRESSO input):
```
&SYSTEM
  ibrav = 0, nat = 8, ntyp = 2
/
ATOMIC_SPECIES
Te 127.60 Te.upf
I 126.90 I.upf
ATOMIC_POSITIONS crystal
Te 0.086 0.177 0.154
Te 0.299 0.077 0.821
Te 0.701 0.923 0.179
Te 0.914 0.823 0.846
I 0.098 0.731 0.571
I 0.337 0.637 0.193
I 0.663 0.363 0.807
I 0.902 0.269 0.429
CELL_PARAMETERS angstrom
4.241 0.000 0.000
2.112 7.992 0.000
2.116 -0.025 9.741
```

# 5
An optimized crystal structure of TeI, computed with r2SCAN. Values from VASP.

## Properties
- Spin magnetization: 0.00 μB per cell
- Formation enthalpy at 0 K: -18 kJ/mol of formula units
- Energy relative to the lowest polymorph listed for this composition: 0.007 eV/atom
- Total DFT energy (no corrections): -401.26 eV per cell

Structure (Quantum ESPRESSO input):
```
&SYSTEM
  ibrav = 0, nat = 16, ntyp = 2
/
ATOMIC_SPECIES
Te 127.60 Te.upf
I 126.90 I.upf
ATOMIC_POSITIONS crystal
Te 0.009 0.497 0.195
Te 0.188 0.756 0.184
Te 0.315 0.240 0.285
Te 0.483 0.499 0.199
Te 0.517 0.501 0.801
Te 0.685 0.760 0.715
Te 0.812 0.244 0.816
Te 0.991 0.503 0.805
I 0.166 0.787 0.820
I 0.180 0.793 0.448
I 0.311 0.214 0.924
I 0.320 0.212 0.563
I 0.680 0.788 0.437
I 0.689 0.786 0.076
I 0.820 0.207 0.552
I 0.834 0.213 0.180
CELL_PARAMETERS angstrom
8.351 0.000 0.000
2.061 8.121 0.000
0.002 2.408 9.840
```

# 6
An optimized crystal structure of ThTe2I2, computed with r2SCAN. Values from VASP.

## Properties
- Spin magnetization: 0.00 μB per cell
- Formation enthalpy at 0 K: -578 kJ/mol of formula units
- Total DFT energy (no corrections): -358.84 eV per cell

Structure (Quantum ESPRESSO input):
```
&SYSTEM
  ibrav = 0, nat = 10, ntyp = 3
/
ATOMIC_SPECIES
Th 232.04 Th.upf
Te 127.60 Te.upf
I 126.90 I.upf
ATOMIC_POSITIONS crystal
Th 0.143 0.000 0.214
Th 0.857 0.000 0.786
Te 0.116 0.673 0.500
Te 0.330 0.887 0.501
Te 0.670 0.113 0.499
Te 0.884 0.327 0.500
I 0.026 0.246 0.920
I 0.447 0.246 0.080
I 0.553 0.754 0.920
I 0.974 0.754 0.080
CELL_PARAMETERS angstrom
7.811 0.000 0.000
2.494 7.585 0.000
3.898 0.009 7.237
```

# 7
An optimized crystal structure of TiI3, computed with r2SCAN. Values from VASP.

## Properties
- Spin magnetization: 0.00 μB per cell
- Formation enthalpy at 0 K: -364 kJ/mol of formula units
- Total DFT energy (no corrections): -361.55 eV per cell

Structure (Quantum ESPRESSO input):
```
&SYSTEM
  ibrav = 0, nat = 16, ntyp = 2
/
ATOMIC_SPECIES
Ti 47.87 Ti.upf
I 126.90 I.upf
ATOMIC_POSITIONS crystal
Ti 0.028 0.250 0.249
Ti 0.472 0.250 0.249
Ti 0.528 0.750 0.751
Ti 0.972 0.750 0.751
I 0.250 0.092 0.403
I 0.250 0.250 0.934
I 0.250 0.408 0.403
I 0.250 0.601 0.901
I 0.250 0.750 0.450
I 0.250 0.899 0.901
I 0.750 0.101 0.099
I 0.750 0.250 0.550
I 0.750 0.399 0.099
I 0.750 0.592 0.597
I 0.750 0.750 0.066
I 0.750 0.908 0.597
CELL_PARAMETERS angstrom
6.480 0.000 0.000
0.000 12.872 0.000
0.000 0.000 7.392
```

# 8
An optimized crystal structure of TiI3, computed with r2SCAN. Values from VASP.

## Properties
- Spin magnetization: 0.81 μB per cell
- Formation enthalpy at 0 K: -360 kJ/mol of formula units
- Total DFT energy (no corrections): -180.69 eV per cell

Structure (Quantum ESPRESSO input):
```
&SYSTEM
  ibrav = 0, nat = 8, ntyp = 2
/
ATOMIC_SPECIES
Ti 47.87 Ti.upf
I 126.90 I.upf
ATOMIC_POSITIONS crystal
Ti 0.000 0.000 0.000
Ti 0.000 0.000 0.500
I 0.000 0.307 0.749
I 0.000 0.693 0.251
I 0.307 0.000 0.249
I 0.308 0.692 0.750
I 0.692 0.308 0.250
I 0.693 0.000 0.751
CELL_PARAMETERS angstrom
6.417 -3.698 0.000
6.417 3.698 0.000
-0.015 0.000 6.516
```

# 9
An optimized crystal structure of TlI, computed with r2SCAN. Values from VASP.

## Properties
- Spin magnetization: 0.00 μB per cell
- Formation enthalpy at 0 K: -145 kJ/mol of formula units
- Energy relative to the lowest polymorph listed for this composition: 0.001 eV/atom
- Total DFT energy (no corrections): -158.49 eV per cell

Structure (Quantum ESPRESSO input):
```
&SYSTEM
  ibrav = 0, nat = 4, ntyp = 2
/
ATOMIC_SPECIES
Tl 204.38 Tl.upf
I 126.90 I.upf
ATOMIC_POSITIONS crystal
Tl 0.108 0.892 0.750
Tl 0.892 0.108 0.250
I 0.364 0.636 0.750
I 0.636 0.364 0.250
CELL_PARAMETERS angstrom
2.338 -6.544 0.000
2.338 6.544 0.000
0.000 0.000 5.244
```

# 10
An optimized crystal structure of TlI, computed with r2SCAN. Values from VASP.

## Properties
- Spin magnetization: 0.00 μB per cell
- Formation enthalpy at 0 K: -146 kJ/mol of formula units
- Energy relative to the lowest polymorph listed for this composition: 0.000 eV/atom
- Total DFT energy (no corrections): -79.25 eV per cell

Structure (Quantum ESPRESSO input):
```
&SYSTEM
  ibrav = 0, nat = 2, ntyp = 2
/
ATOMIC_SPECIES
Tl 204.38 Tl.upf
I 126.90 I.upf
ATOMIC_POSITIONS crystal
Tl 0.000 0.000 0.000
I 0.500 0.500 0.500
CELL_PARAMETERS angstrom
0.000 3.521 3.521
3.521 0.000 3.521
3.521 3.521 0.000
```

# 11
An optimized crystal structure of TlI3, computed with r2SCAN. Values from VASP.

## Properties
- Spin magnetization: 0.00 μB per cell
- Formation enthalpy at 0 K: -154 kJ/mol of formula units
- Total DFT energy (no corrections): -513.79 eV per cell

Structure (Quantum ESPRESSO input):
```
&SYSTEM
  ibrav = 0, nat = 16, ntyp = 2
/
ATOMIC_SPECIES
Tl 204.38 Tl.upf
I 126.90 I.upf
ATOMIC_POSITIONS crystal
Tl 0.175 0.250 0.025
Tl 0.325 0.750 0.525
Tl 0.675 0.250 0.475
Tl 0.825 0.750 0.975
I 0.082 0.750 0.267
I 0.126 0.250 0.543
I 0.150 0.750 0.849
I 0.350 0.250 0.349
I 0.374 0.750 0.043
I 0.418 0.250 0.767
I 0.582 0.750 0.233
I 0.626 0.250 0.957
I 0.650 0.750 0.651
I 0.850 0.250 0.151
I 0.874 0.750 0.457
I 0.918 0.250 0.733
CELL_PARAMETERS angstrom
10.544 0.000 0.000
0.000 6.475 0.000
0.000 0.000 9.766
```

# 12
An optimized crystal structure of TlI, computed with r2SCAN. Values from VASP.

## Properties
- Spin magnetization: 0.00 μB per cell
- Formation enthalpy at 0 K: -142 kJ/mol of formula units
- Energy relative to the lowest polymorph listed for this composition: 0.021 eV/atom
- Total DFT energy (no corrections): -79.21 eV per cell

Structure (Quantum ESPRESSO input):
```
&SYSTEM
  ibrav = 0, nat = 2, ntyp = 2
/
ATOMIC_SPECIES
Tl 204.38 Tl.upf
I 126.90 I.upf
ATOMIC_POSITIONS crystal
Tl 0.000 0.000 0.000
I 0.500 0.500 0.500
CELL_PARAMETERS angstrom
4.238 0.000 0.000
0.000 4.238 0.000
0.000 0.000 4.238
```

# 13
An optimized crystal structure of TmI3, computed with r2SCAN. Values from VASP.

## Properties
- Spin magnetization: 0.00 μB per cell
- Formation enthalpy at 0 K: -583 kJ/mol of formula units
- Total DFT energy (no corrections): -229.69 eV per cell

Structure (Quantum ESPRESSO input):
```
&SYSTEM
  ibrav = 0, nat = 8, ntyp = 2
/
ATOMIC_SPECIES
Tm 168.93 Tm.upf
I 126.90 I.upf
ATOMIC_POSITIONS crystal
Tm 0.333 0.667 0.250
Tm 0.667 0.333 0.750
I 0.213 0.426 0.750
I 0.213 0.787 0.750
I 0.426 0.213 0.250
I 0.574 0.787 0.750
I 0.787 0.213 0.250
I 0.787 0.574 0.250
CELL_PARAMETERS angstrom
10.981 0.000 0.000
-5.490 9.509 0.000
0.000 0.000 3.940
```

# 14
An optimized crystal structure of TmI2, computed with r2SCAN. Values from VASP.

## Properties
- Spin magnetization: 0.00 μB per cell
- Formation enthalpy at 0 K: -380 kJ/mol of formula units
- Total DFT energy (no corrections): -88.17 eV per cell

Structure (Quantum ESPRESSO input):
```
&SYSTEM
  ibrav = 0, nat = 3, ntyp = 2
/
ATOMIC_SPECIES
Tm 168.93 Tm.upf
I 126.90 I.upf
ATOMIC_POSITIONS crystal
Tm 0.000 0.000 0.000
I 0.333 0.667 0.249
I 0.667 0.333 0.751
CELL_PARAMETERS angstrom
4.090 0.000 0.000
-2.045 3.542 0.000
0.000 0.000 7.609
```

# 15
An optimized crystal structure of VI2, computed with r2SCAN. Values from VASP.

## Properties
- Spin magnetization: 3.00 μB per cell
- Formation enthalpy at 0 K: -251 kJ/mol of formula units
- Total DFT energy (no corrections): -65.81 eV per cell

Structure (Quantum ESPRESSO input):
```
&SYSTEM
  ibrav = 0, nat = 3, ntyp = 2
/
ATOMIC_SPECIES
V 50.94 V.upf
I 126.90 I.upf
ATOMIC_POSITIONS crystal
V 0.000 0.000 0.000
I 0.333 0.667 0.223
I 0.667 0.333 0.777
CELL_PARAMETERS angstrom
4.116 0.000 0.000
-2.058 3.565 0.000
0.000 0.000 7.119
```

# 16
An optimized crystal structure of ZrI3, computed with r2SCAN. Values from VASP.

## Properties
- Spin magnetization: 0.00 μB per cell
- Formation enthalpy at 0 K: -439 kJ/mol of formula units
- Total DFT energy (no corrections): -403.90 eV per cell

Structure (Quantum ESPRESSO input):
```
&SYSTEM
  ibrav = 0, nat = 16, ntyp = 2
/
ATOMIC_SPECIES
Zr 91.22 Zr.upf
I 126.90 I.upf
ATOMIC_POSITIONS crystal
Zr 0.018 0.250 0.247
Zr 0.482 0.250 0.247
Zr 0.518 0.750 0.753
Zr 0.982 0.750 0.753
I 0.250 0.090 0.408
I 0.250 0.250 0.927
I 0.250 0.410 0.408
I 0.250 0.595 0.908
I 0.250 0.750 0.442
I 0.250 0.905 0.908
I 0.750 0.095 0.092
I 0.750 0.250 0.558
I 0.750 0.405 0.092
I 0.750 0.590 0.592
I 0.750 0.750 0.073
I 0.750 0.910 0.592
CELL_PARAMETERS angstrom
6.680 0.000 0.000
0.000 13.194 0.000
0.000 0.000 7.600
```

# 17
An optimized crystal structure of ZrI2, computed with r2SCAN. Values from VASP.

## Properties
- Spin magnetization: 2.00 μB per cell
- Formation enthalpy at 0 K: -284 kJ/mol of formula units
- Total DFT energy (no corrections): -448.88 eV per cell

Structure (Quantum ESPRESSO input):
```
&SYSTEM
  ibrav = 0, nat = 18, ntyp = 2
/
ATOMIC_SPECIES
Zr 91.22 Zr.upf
I 126.90 I.upf
ATOMIC_POSITIONS crystal
Zr 0.229 0.408 0.469
Zr 0.408 0.469 0.229
Zr 0.469 0.229 0.408
Zr 0.531 0.771 0.592
Zr 0.592 0.531 0.771
Zr 0.771 0.592 0.531
I 0.053 0.355 0.128
I 0.128 0.053 0.355
I 0.193 0.725 0.577
I 0.275 0.423 0.807
I 0.355 0.128 0.053
I 0.423 0.807 0.275
I 0.577 0.193 0.725
I 0.645 0.872 0.947
I 0.725 0.577 0.193
I 0.807 0.275 0.423
I 0.872 0.947 0.645
I 0.947 0.645 0.872
CELL_PARAMETERS angstrom
7.393 4.268 3.418
-7.393 4.268 3.418
0.000 -8.537 3.418
```

# 18
An optimized crystal structure of ZrI2, computed with r2SCAN. Values from VASP.

## Properties
- Spin magnetization: 0.00 μB per cell
- Formation enthalpy at 0 K: -301 kJ/mol of formula units
- Total DFT energy (no corrections): -299.96 eV per cell

Structure (Quantum ESPRESSO input):
```
&SYSTEM
  ibrav = 0, nat = 12, ntyp = 2
/
ATOMIC_SPECIES
Zr 91.22 Zr.upf
I 126.90 I.upf
ATOMIC_POSITIONS crystal
Zr 0.000 0.011 0.000
Zr 0.000 0.617 0.494
Zr 0.500 0.383 0.994
Zr 0.500 0.989 0.500
I 0.000 0.223 0.392
I 0.000 0.278 0.856
I 0.000 0.616 0.102
I 0.000 0.884 0.638
I 0.500 0.116 0.138
I 0.500 0.384 0.602
I 0.500 0.722 0.356
I 0.500 0.777 0.892
CELL_PARAMETERS angstrom
3.774 0.000 0.000
0.000 6.918 0.000
0.000 0.000 15.611
```

# 19
An optimized crystal structure of ZrI3, computed with r2SCAN. Values from VASP.

## Properties
- Spin magnetization: 0.00 μB per cell
- Formation enthalpy at 0 K: -437 kJ/mol of formula units
- Total DFT energy (no corrections): -201.92 eV per cell

Structure (Quantum ESPRESSO input):
```
&SYSTEM
  ibrav = 0, nat = 8, ntyp = 2
/
ATOMIC_SPECIES
Zr 91.22 Zr.upf
I 126.90 I.upf
ATOMIC_POSITIONS crystal
Zr 0.000 0.000 0.000
Zr 0.000 0.000 0.500
I 0.000 0.323 0.250
I 0.000 0.677 0.750
I 0.323 0.000 0.250
I 0.323 0.323 0.750
I 0.677 0.000 0.750
I 0.677 0.677 0.250
CELL_PARAMETERS angstrom
7.500 0.000 0.000
-3.750 6.495 0.000
0.000 0.000 6.563
```

# 20
An optimized crystal structure of ZrI2, computed with r2SCAN. Values from VASP.

## Properties
- Spin magnetization: 0.00 μB per cell
- Formation enthalpy at 0 K: -301 kJ/mol of formula units
- Total DFT energy (no corrections): -299.96 eV per cell

Structure (Quantum ESPRESSO input):
```
&SYSTEM
  ibrav = 0, nat = 12, ntyp = 2
/
ATOMIC_SPECIES
Zr 91.22 Zr.upf
I 126.90 I.upf
ATOMIC_POSITIONS crystal
Zr 0.185 0.250 0.497
Zr 0.313 0.750 0.997
Zr 0.687 0.250 0.003
Zr 0.815 0.750 0.503
I 0.052 0.750 0.359
I 0.102 0.250 0.105
I 0.389 0.250 0.858
I 0.443 0.750 0.605
I 0.557 0.250 0.395
I 0.611 0.750 0.142
I 0.898 0.750 0.895
I 0.948 0.250 0.641
CELL_PARAMETERS angstrom
6.914 0.000 0.000
0.000 3.774 0.000
-1.464 0.000 15.562
```